Entry 1:
Here is a relaxed Mn12O17F7 crystal from the Materials Project. Energies are from PBE with a Hubbard U.

a = 4.5435 Å, b = 5.5734 Å, c = 15.0953 Å
α = 90.15°, β = 90.82°, γ = 90.23°
With the nearest neighbours (Å) after each atom.
Atoms (fractional coordinates):
F (0.2549, 0.1277, 0.0248)  3 Mn 1.99-2.19
O (0.7239, 0.5989, 0.4811)  3 Mn 1.86-2.04
Mn (0.5036, 0.6496, 0.9191)  4 O 1.94-2.00, 2 F 2.09-2.14
O (0.7667, 0.8885, 0.6330)  3 Mn 1.90-2.01
F (0.2409, 0.1283, 0.3579)  3 Mn 2.01-2.19
Mn (0.5025, 0.6344, 0.5878)  5 O 1.86-1.97, 1 F 2.01
O (0.2710, 0.3856, 0.5270)  3 Mn 1.93-1.97
O (0.7647, 0.1110, 0.7994)  3 Mn 1.95-2.00
F (0.2427, 0.8722, 0.5250)  3 Mn 2.01-2.20
Mn (0.4985, 0.3647, 0.0931)  4 O 1.86-1.98, 2 F 1.96-1.99
Mn (0.9965, 0.1559, 0.9082)  3 O 1.93-1.98, 3 F 2.09-2.11
O (0.2695, 0.6133, 0.6931)  3 Mn 1.93-1.99
F (0.7485, 0.3809, 0.9883)  3 Mn 1.96-2.14
Mn (0.9797, 0.8353, 0.4129)  4 O 1.94-2.04, 1 F 2.07
F (0.2399, 0.1302, 0.6894)  3 Mn 2.02-2.18
O (0.2721, 0.6148, 0.3618)  3 Mn 1.93-1.98
O (0.7219, 0.4011, 0.6466)  3 Mn 1.86-2.04
O (0.7707, 0.1116, 0.1363)  3 Mn 1.91-2.02
O (0.7681, 0.8885, 0.3020)  3 Mn 1.94-1.98
O (0.7870, 0.8893, 0.9671)  3 Mn 1.93-1.98
O (0.2784, 0.6134, 0.0290)  3 Mn 1.96-1.98
Mn (0.9859, 0.8367, 0.0790)  4 O 1.93-2.07, 1 F 2.06
O (0.7233, 0.4018, 0.3149)  3 Mn 1.87-2.05
O (0.7281, 0.5996, 0.8124)  3 Mn 1.86-2.04
O (0.7228, 0.6011, 0.1492)  3 Mn 1.86-2.07
Mn (0.9740, 0.1626, 0.2463)  4 O 1.91-2.05, 1 F 2.07
O (0.2711, 0.3871, 0.1959)  3 Mn 1.88-2.00
O (0.2824, 0.3787, 0.8616)  3 Mn 1.93-2.00
Mn (0.5070, 0.6388, 0.2565)  5 O 1.87-1.98, 1 F 2.02
Mn (0.9736, 0.8378, 0.7415)  4 O 1.90-2.04, 1 F 1.98
F (0.2302, 0.8803, 0.8472)  3 Mn 1.98-2.09
O (0.7702, 0.1111, 0.4671)  3 Mn 1.93-1.99
F (0.2422, 0.8723, 0.1923)  3 Mn 2.02-2.19
Mn (0.9779, 0.1672, 0.5779)  4 O 1.93-2.04, 1 F 2.06
Mn (0.5051, 0.3651, 0.7541)  5 O 1.86-1.97, 1 F 2.02
Mn (0.5049, 0.3645, 0.4214)  5 O 1.86-1.98, 1 F 2.01

Computed properties:
Magnetization, μB/f.u.: 43.00
Space group: No. 1
E_form, meV per atom: -2070

***

Entry 2:
Here is a relaxed Mn8O13F3 crystal from the Materials Project. Energies are from PBE with a Hubbard U.

a = 6.7199 Å, b = 6.7401 Å, c = 7.0111 Å
α = 114.27°, β = 114.25°, γ = 95.77°
With the nearest neighbours (Å) after each atom.
Atoms (fractional coordinates):
F (0.4032, 0.9517, 0.6215)  3 Mn 1.94-2.12
O (0.9893, 0.9052, 0.6165)  3 Mn 1.92-1.95
O (0.6168, 0.0407, 0.3914)  3 Mn 1.93-2.08
O (0.1213, 0.5375, 0.3892)  3 Mn 1.97-2.03
O (0.8777, 0.4492, 0.6064)  3 Mn 1.89-1.99
O (0.8527, 0.2784, 0.8930)  3 Mn 1.94-1.99
F (0.2183, 0.1466, 0.1233)  3 Mn 2.01-2.20
O (0.2869, 0.3706, 0.8907)  3 Mn 1.96-2.04
O (0.0265, 0.1034, 0.3898)  3 Mn 1.94-1.99
O (0.1503, 0.7374, 0.1125)  3 Mn 1.85-1.98
O (0.5260, 0.6005, 0.3893)  3 Mn 1.93-2.00
F (0.7001, 0.6521, 0.1197)  3 Mn 1.94-2.11
Mn (0.4271, 0.6965, 0.1396)  4 O 1.85-2.00, 1 F 1.94
Mn (0.9379, 0.1994, 0.1468)  5 O 1.89-2.03, 1 F 2.01
Mn (0.5659, 0.3053, 0.3602)  5 O 1.89-1.97, 1 F 2.05
Mn (0.9466, 0.1923, 0.6431)  6 O 1.93-2.04
Mn (0.0505, 0.7984, 0.3484)  4 O 1.94-1.99, 2 F 2.05-2.12
O (0.3474, 0.7702, 0.8842)  3 Mn 1.93-1.98
O (0.7886, 0.8663, 0.8885)  3 Mn 1.95-2.04
O (0.4776, 0.3967, 0.6073)  3 Mn 1.86-1.94
Mn (0.5493, 0.3014, 0.8480)  4 O 1.94-1.98, 2 F 2.05-2.11
Mn (0.4492, 0.6802, 0.6426)  5 O 1.86-2.04, 1 F 1.94
O (0.6527, 0.2339, 0.1161)  3 Mn 1.89-1.98
Mn (0.0380, 0.7862, 0.8319)  5 O 1.92-1.99

Computed properties:
Magnetization, μB/f.u.: 27.00
E above lowest polymorph, meV per atom: 26.8
Space group: No. 1
E_form, meV per atom: -1948

***

Entry 3:
Here is a relaxed Mn8O13F3 crystal from the Materials Project. Energies are from PBE with a Hubbard U.

a = 4.9811 Å, b = 7.0481 Å, c = 7.1652 Å
α = 101.78°, β = 90.32°, γ = 90.10°
With the nearest neighbours (Å) after each atom.
Atoms (fractional coordinates):
F (0.0751, 0.4400, 0.8158)  3 Mn 2.03-2.16
O (0.4379, 0.4430, 0.3336)  3 Mn 1.89-1.97
Mn (0.2439, 0.9194, 0.0865)  5 O 1.95-2.00, 1 F 2.17
O (0.0887, 0.6725, 0.5600)  3 Mn 1.94-1.95
Mn (0.7592, 0.5885, 0.4222)  5 O 1.93-2.02, 1 F 2.13
Mn (0.7392, 0.5776, 0.9320)  5 O 1.88-1.97, 1 F 2.03
O (0.5577, 0.8346, 0.4383)  3 Mn 1.86-1.99
O (0.9113, 0.0616, 0.6725)  3 Mn 1.93-2.00
O (0.5936, 0.5608, 0.6724)  3 Mn 1.88-2.02
O (0.0571, 0.9380, 0.3364)  3 Mn 1.87-2.00
O (0.9269, 0.5566, 0.1671)  3 Mn 1.95-1.99
Mn (0.7615, 0.0775, 0.9335)  5 O 1.88-2.00, 1 F 2.03
Mn (0.2775, 0.4328, 0.5694)  4 O 1.88-1.95, 2 F 2.03-2.04
O (0.9184, 0.8261, 0.9398)  3 Mn 1.95-1.97
O (0.4191, 0.6678, 0.0561)  3 Mn 1.88-1.97
O (0.0833, 0.1686, 0.0590)  3 Mn 1.88-1.98
F (0.4237, 0.9411, 0.8170)  3 Mn 2.02-2.17
Mn (0.2589, 0.4197, 0.0846)  5 O 1.95-1.97, 1 F 2.16
Mn (0.2319, 0.9304, 0.5662)  5 O 1.87-1.95, 1 F 2.02
O (0.5756, 0.0605, 0.1717)  3 Mn 1.96-1.99
O (0.4142, 0.1747, 0.5609)  3 Mn 1.93-1.95
Mn (0.7319, 0.0659, 0.4289)  5 O 1.86-1.99, 1 F 2.02
O (0.5809, 0.3259, 0.9386)  3 Mn 1.95-1.96
F (0.9324, 0.3164, 0.4378)  3 Mn 2.02-2.13

Computed properties:
Magnetization, μB/f.u.: 27.00
E above lowest polymorph, meV per atom: 22.2
Space group: No. 1
E_form, meV per atom: -1952

***

Entry 4:
Here is a relaxed Mn12O5F19 crystal from the Materials Project. Energies are from PBE with a Hubbard U.

a = 4.8555 Å, b = 5.8344 Å, c = 15.9693 Å
α = 89.39°, β = 89.80°, γ = 89.01°
With the nearest neighbours (Å) after each atom.
Atoms (fractional coordinates):
O (0.6945, 0.6231, 0.8077)  3 Mn 1.97-2.03
F (0.2593, 0.1060, 0.0240)  3 Mn 2.12-2.18
Mn (0.4812, 0.3502, 0.4163)  1 O 1.89, 3 F 2.08-2.10
F (0.2825, 0.3826, 0.1898)  3 Mn 2.06-2.20
O (0.3001, 0.6085, 0.0284)  3 Mn 2.01-2.08
F (0.2001, 0.8692, 0.8560)  3 Mn 2.08-2.16
Mn (0.0068, 0.1598, 0.9173)  6 F 2.06-2.18
F (0.7326, 0.3905, 0.6396)  3 Mn 2.07-2.14
F (0.2684, 0.3925, 0.8631)  3 Mn 2.06-2.12
F (0.7760, 0.8765, 0.9704)  3 Mn 2.07-2.18
F (0.2361, 0.8971, 0.5237)  3 Mn 2.10-2.14
Mn (0.5027, 0.3599, 0.7518)  1 O 2.03, 5 F 2.06-2.12
F (0.7560, 0.1126, 0.4687)  3 Mn 2.08-2.27
F (0.7363, 0.6049, 0.4739)  3 Mn 2.13-2.17
Mn (0.4855, 0.6630, 0.2556)  1 O 2.07, 5 F 2.07-2.20
Mn (0.4953, 0.6569, 0.9183)  2 O 2.01-2.02, 4 F 2.07-2.13
Mn (0.5158, 0.3487, 0.0827)  2 O 1.96-2.02, 4 F 2.05-2.17
Mn (0.9944, 0.1458, 0.5877)  1 O 2.02, 5 F 2.07-2.24
F (0.2566, 0.6118, 0.6916)  3 Mn 2.10-2.15
F (0.7284, 0.3781, 0.3097)  3 Mn 2.07-2.19
F (0.2257, 0.1158, 0.3528)  3 Mn 2.13-2.22
O (0.7844, 0.8922, 0.6456)  3 Mn 1.91-2.02
F (0.2310, 0.1172, 0.7039)  3 Mn 2.10-2.29
Mn (0.9758, 0.1646, 0.2377)  1 O 2.01, 5 F 2.07-2.22
Mn (0.0127, 0.8355, 0.0801)  2 O 2.08-2.16, 4 F 2.09-2.18
Mn (0.9547, 0.8284, 0.7511)  2 O 1.91-1.97, 1 F 2.08
Mn (0.0158, 0.8278, 0.4113)  1 O 1.99, 4 F 2.09-2.18
F (0.7385, 0.3891, 0.9745)  3 Mn 2.05-2.13
F (0.7550, 0.1223, 0.8106)  3 Mn 2.06-2.18
F (0.2705, 0.3798, 0.5309)  2 Mn 2.10-2.12
F (0.7448, 0.6110, 0.1461)  3 Mn 2.13-2.17
F (0.2253, 0.8878, 0.1918)  3 Mn 2.07-2.14
O (0.2825, 0.5974, 0.3669)  3 Mn 1.89-2.07
F (0.7760, 0.8887, 0.3043)  3 Mn 2.09-2.16
Mn (0.5215, 0.6837, 0.5869)  1 O 2.02, 4 F 2.10-2.15
O (0.7772, 0.1210, 0.1292)  3 Mn 1.96-2.16

Computed properties:
Magnetization, μB/f.u.: 55.00
E above lowest polymorph, meV per atom: 14.2
Space group: No. 1
E_form, meV per atom: -2648

***

Entry 5:
Here is a relaxed Mn12O5F19 crystal from the Materials Project. Energies are from PBE with a Hubbard U.

a = 4.8422 Å, b = 5.8393 Å, c = 15.9560 Å
α = 89.52°, β = 89.98°, γ = 88.80°
With the nearest neighbours (Å) after each atom.
Atoms (fractional coordinates):
O (0.6928, 0.6087, 0.4813)  3 Mn 1.95-2.03
O (0.2840, 0.6039, 0.0309)  3 Mn 1.92-2.00
Mn (0.4714, 0.3518, 0.0856)  2 O 1.92, 2 F 2.06
F (0.7615, 0.1078, 0.4736)  3 Mn 2.07-2.15
F (0.7757, 0.8768, 0.6373)  3 Mn 2.09-2.17
F (0.7560, 0.6218, 0.1433)  2 Mn 2.05-2.07
F (0.7156, 0.3707, 0.9799)  3 Mn 2.06-2.17
O (0.2964, 0.3993, 0.1920)  3 Mn 1.92-2.04
F (0.7602, 0.1221, 0.1328)  3 Mn 2.06-2.26
F (0.2760, 0.3833, 0.8597)  3 Mn 2.09-2.16
F (0.2361, 0.9049, 0.1919)  3 Mn 2.09-2.14
F (0.2555, 0.1115, 0.6931)  3 Mn 2.10-2.19
Mn (0.0108, 0.8359, 0.7474)  4 F 2.09-2.19, 2 O 2.09-2.16
Mn (0.4857, 0.6558, 0.9231)  1 O 2.00, 5 F 2.07-2.17
F (0.7363, 0.3864, 0.6421)  3 Mn 2.06-2.10
Mn (0.4969, 0.6533, 0.2456)  1 O 1.99, 5 F 2.07-2.16
F (0.7388, 0.6088, 0.8148)  3 Mn 2.13-2.17
O (0.7728, 0.1206, 0.7977)  3 Mn 1.95-2.16
Mn (0.4946, 0.6494, 0.5871)  2 O 1.95-1.98, 4 F 2.06-2.13
F (0.7450, 0.3962, 0.3110)  3 Mn 2.09-2.16
Mn (0.0046, 0.1580, 0.5841)  6 F 2.05-2.17
Mn (0.0171, 0.8316, 0.0789)  1 O 1.99, 4 F 2.05-2.14
F (0.2257, 0.8825, 0.8593)  3 Mn 2.07-2.15
Mn (0.5017, 0.3554, 0.4205)  1 O 2.02, 5 F 2.07-2.15
Mn (0.9721, 0.1600, 0.9058)  1 O 1.99, 5 F 2.10-2.16
F (0.2569, 0.6142, 0.3561)  3 Mn 2.11-2.15
O (0.2998, 0.6080, 0.6949)  3 Mn 1.98-2.09
F (0.7618, 0.8891, 0.3003)  3 Mn 2.10-2.31
F (0.7685, 0.8833, 0.9696)  3 Mn 2.07-2.16
F (0.2280, 0.8811, 0.5293)  3 Mn 2.06-2.20
Mn (0.9606, 0.8165, 0.4206)  1 O 2.03, 4 F 2.11-2.20
F (0.2310, 0.1185, 0.3666)  2 Mn 2.11-2.18
F (0.2564, 0.3940, 0.5287)  3 Mn 2.05-2.13
Mn (0.0238, 0.1820, 0.2471)  1 O 2.04, 4 F 2.09-2.26
Mn (0.5127, 0.3474, 0.7509)  2 O 1.95-2.02, 4 F 2.06-2.16
F (0.2173, 0.1093, 0.0173)  3 Mn 2.14-2.19

Computed properties:
Magnetization, μB/f.u.: 55.00
E above lowest polymorph, meV per atom: 8.7
Space group: No. 1
E_form, meV per atom: -2653

***

Entry 6:
Here is a relaxed Mn6O7F5 crystal from the Materials Project. Energies are from PBE with a Hubbard U.

a = 4.5686 Å, b = 5.6411 Å, c = 15.3462 Å
α = 89.96°, β = 90.44°, γ = 90.80°
With the nearest neighbours (Å) after each atom.
Atoms (fractional coordinates):
F (0.2544, 0.8797, 0.4690)  3 Mn 2.03-2.18
F (0.7714, 0.1262, 0.8481)  3 Mn 1.97-2.12
Mn (0.4974, 0.3479, 0.9211)  4 O 1.96-2.03, 2 F 2.11-2.15
O (0.7280, 0.3841, 0.3598)  3 Mn 1.89-1.97
O (0.2752, 0.3975, 0.8131)  3 Mn 1.86-2.04
O (0.2883, 0.3915, 0.4784)  3 Mn 1.89-1.99
O (0.7224, 0.6173, 0.8629)  3 Mn 1.87-2.03
F (0.2493, 0.3834, 0.1516)  3 Mn 1.97-2.14
Mn (0.0304, 0.8384, 0.2458)  4 O 1.94-2.09, 1 F 2.12
F (0.7491, 0.1271, 0.1913)  3 Mn 2.03-2.25
Mn (0.0141, 0.8491, 0.9066)  3 O 1.92-1.97, 3 F 2.02-2.12
O (0.7344, 0.6122, 0.5296)  3 Mn 1.94-2.01
F (0.7746, 0.1044, 0.5175)  3 Mn 2.02-2.17
O (0.7144, 0.3826, 0.0310)  3 Mn 1.96-2.03
O (0.2872, 0.5975, 0.3151)  3 Mn 1.89-2.09
F (0.2513, 0.6245, 0.6501)  3 Mn 2.03-2.17
O (0.2155, 0.8862, 0.1337)  3 Mn 1.94-2.01
Mn (0.5032, 0.3511, 0.5873)  4 O 1.95-2.01, 2 F 2.17
Mn (0.5170, 0.6240, 0.4206)  4 O 1.89-1.94, 2 F 2.03-2.04
F (0.2529, 0.6174, 0.9856)  3 Mn 1.99-2.15
Mn (0.9921, 0.8484, 0.5819)  2 O 1.94-1.97, 4 F 2.02-2.12
O (0.7240, 0.6157, 0.1976)  3 Mn 1.93-2.01
Mn (0.5090, 0.6544, 0.0902)  3 O 1.93-2.03, 3 F 1.99-2.14
O (0.2410, 0.1129, 0.3007)  3 Mn 1.94-1.99
O (0.2092, 0.1162, 0.6350)  3 Mn 1.92-2.01
Mn (0.5009, 0.3629, 0.2564)  4 O 1.89-1.96, 2 F 1.97-2.03
O (0.2190, 0.1124, 0.9670)  3 Mn 1.96-1.97
Mn (0.9985, 0.1524, 0.0756)  3 O 1.97-2.01, 3 F 2.08-2.12
O (0.2326, 0.8867, 0.8011)  3 Mn 1.92-2.05
F (0.7810, 0.8695, 0.3610)  3 Mn 2.04-2.18
O (0.7217, 0.3908, 0.6962)  3 Mn 1.95-2.01
F (0.7370, 0.8763, 0.6948)  3 Mn 2.01-2.19
Mn (0.4980, 0.6352, 0.7608)  4 O 1.86-2.00, 2 F 2.01-2.03
Mn (0.0327, 0.1762, 0.4080)  3 O 1.94-1.99, 2 F 2.10-2.18
F (0.7541, 0.8828, 0.0114)  3 Mn 2.02-2.11
Mn (0.0184, 0.1651, 0.7442)  4 O 1.92-2.05, 1 F 1.97

Computed properties:
Magnetization, μB/f.u.: 23.00
E above lowest polymorph, meV per atom: 31.3
Space group: No. 1
E_form, meV per atom: -2211

***

V across the listed records, respectively: 382.2 249.7 246.2 452.3 451.0 197.7 Å³/f.u..